1.
Li7Mn2Co3O12 | PBE with a Hubbard U | optimized geometry

Cell: 5.131 2.922 14.420 Å, 90.00 90.26 90.00°
Element x y z (fractional)
Li (0.000, 0.000, 0.000)
Li (0.000, 0.000, 0.500)
Li (0.171, 0.500, 0.334)
Li (0.329, 0.000, 0.162)
Li (0.500, 0.500, 0.000)
Li (0.671, 0.000, 0.838)
Li (0.829, 0.500, 0.666)
Mn (0.155, 0.500, 0.839)
Mn (0.845, 0.500, 0.161)
Co (0.331, 0.000, 0.667)
Co (0.500, 0.500, 0.500)
Co (0.669, 0.000, 0.333)
O (0.019, 0.000, 0.757)
O (0.139, 0.500, 0.092)
O (0.180, 0.500, 0.587)
O (0.318, 0.000, 0.906)
O (0.351, 0.000, 0.420)
O (0.466, 0.500, 0.747)
O (0.534, 0.500, 0.253)
O (0.649, 0.000, 0.580)
O (0.682, 0.000, 0.094)
O (0.820, 0.500, 0.413)
O (0.861, 0.500, 0.908)
O (0.981, 0.000, 0.243)

Its density is 4.05 g/cm³. As for the total moment: 11.72 μB per formula unit. The space-group type is No. 10. As for the distance to the lowest polymorph of the same formula: 10.3 kJ per mole of atoms. The value obtained for the formation energy from the elements is -1.827 eV/atom.


2.
Li7Mn2Co3O12 | PBE with a Hubbard U | optimized geometry

Cell: 2.926 7.665 9.822 Å, 100.79 91.20 100.11°
Element x y z (fractional)
Li (0.000, 0.000, 0.000)
Li (0.074, 0.159, 0.753)
Li (0.251, 0.501, 0.255)
Li (0.428, 0.847, 0.756)
Li (0.572, 0.153, 0.244)
Li (0.749, 0.499, 0.745)
Li (0.926, 0.841, 0.247)
Mn (0.334, 0.679, 0.004)
Mn (0.666, 0.321, 0.996)
Co (0.166, 0.331, 0.498)
Co (0.500, 0.000, 0.500)
Co (0.834, 0.669, 0.502)
O (0.083, 0.087, 0.384)
O (0.149, 0.265, 0.110)
O (0.202, 0.417, 0.893)
O (0.281, 0.576, 0.618)
O (0.379, 0.759, 0.389)
O (0.445, 0.898, 0.119)
O (0.555, 0.102, 0.881)
O (0.621, 0.241, 0.611)
O (0.719, 0.424, 0.382)
O (0.798, 0.583, 0.107)
O (0.851, 0.735, 0.890)
O (0.917, 0.913, 0.616)

Its density is 4.12 g/cm³. As for the total moment: 6.00 μB per formula unit. The space-group type is No. 2. As for the distance to the lowest polymorph of the same formula: 3.4 kJ per mole of atoms. The value obtained for the formation energy from the elements is -1.898 eV/atom.


3.
Li7Mn2Co3O12 | PBE with a Hubbard U | optimized geometry

Cell: 2.962 2.962 29.276 Å, 90.00 90.00 120.00°
Element x y z (fractional)
Li (0.000, 0.000, 0.000)
Li (0.000, 0.000, 0.250)
Li (0.000, 0.000, 0.500)
Li (0.333, 0.667, 0.175)
Li (0.333, 0.667, 0.666)
Li (0.667, 0.333, 0.330)
Li (0.667, 0.333, 0.831)
Mn (0.333, 0.667, 0.917)
Mn (0.667, 0.333, 0.084)
Co (0.000, 0.000, 0.750)
Co (0.333, 0.667, 0.418)
Co (0.667, 0.333, 0.584)
O (0.000, 0.000, 0.118)
O (0.000, 0.000, 0.384)
O (0.000, 0.000, 0.622)
O (0.000, 0.000, 0.879)
O (0.333, 0.667, 0.045)
O (0.333, 0.667, 0.294)
O (0.333, 0.667, 0.546)
O (0.333, 0.667, 0.788)
O (0.667, 0.333, 0.208)
O (0.667, 0.333, 0.454)
O (0.667, 0.333, 0.712)
O (0.667, 0.333, 0.955)

Its density is 3.93 g/cm³. As for the total moment: 18.98 μB per formula unit. The space-group type is No. 156. As for the distance to the lowest polymorph of the same formula: 21.1 kJ per mole of atoms. The value obtained for the formation energy from the elements is -1.715 eV/atom.


4.
Li7Mn2Co3O12 | PBE with a Hubbard U | optimized geometry

Cell: 2.902 5.076 15.408 Å, 97.15 94.20 104.74°
Element x y z (fractional)
Li (0.000, 0.000, 0.000)
Li (0.007, 0.757, 0.250)
Li (0.307, 0.577, 0.073)
Li (0.335, 0.084, 0.583)
Li (0.665, 0.916, 0.417)
Li (0.693, 0.423, 0.927)
Li (0.993, 0.243, 0.750)
Mn (0.338, 0.828, 0.839)
Mn (0.662, 0.172, 0.161)
Co (0.000, 0.500, 0.500)
Co (0.321, 0.330, 0.333)
Co (0.679, 0.670, 0.667)
O (0.001, 0.605, 0.374)
O (0.035, 0.915, 0.131)
O (0.296, 0.427, 0.207)
O (0.326, 0.227, 0.460)
O (0.326, 0.707, 0.947)
O (0.346, 0.936, 0.710)
O (0.654, 0.064, 0.290)
O (0.674, 0.293, 0.053)
O (0.674, 0.773, 0.540)
O (0.704, 0.573, 0.793)
O (0.965, 0.085, 0.869)
O (0.999, 0.395, 0.626)

Its density is 4.04 g/cm³. As for the total moment: 0.25 μB per formula unit. The space-group type is No. 2. As for the distance to the lowest polymorph of the same formula: 22.4 kJ per mole of atoms. The value obtained for the formation energy from the elements is -1.701 eV/atom.


5.
Li4MnCo2O7 | PBE with a Hubbard U | optimized geometry

Cell: 5.917 6.567 7.684 Å, 114.84 99.50 104.14°
Element x y z (fractional)
Li (0.000, 0.000, 0.000)
Li (0.068, 0.581, 0.720)
Li (0.207, 0.714, 0.136)
Li (0.361, 0.858, 0.576)
Li (0.508, 0.006, 0.010)
Li (0.643, 0.149, 0.432)
Li (0.792, 0.285, 0.862)
Li (0.931, 0.418, 0.280)
Mn (0.717, 0.718, 0.144)
Mn (0.860, 0.855, 0.575)
Co (0.146, 0.148, 0.420)
Co (0.274, 0.280, 0.864)
Co (0.425, 0.425, 0.285)
Co (0.577, 0.577, 0.724)
O (0.010, 0.788, 0.354)
O (0.123, 0.360, 0.067)
O (0.158, 0.927, 0.767)
O (0.267, 0.494, 0.492)
O (0.326, 0.095, 0.233)
O (0.419, 0.653, 0.947)
O (0.454, 0.238, 0.653)
O (0.559, 0.772, 0.359)
O (0.595, 0.374, 0.083)
O (0.683, 0.908, 0.768)
O (0.754, 0.523, 0.509)
O (0.823, 0.051, 0.220)
O (0.874, 0.644, 0.941)
O (0.970, 0.192, 0.636)

Its density is 4.15 g/cm³. As for the total moment: 11.00 μB per formula unit. The space-group type is No. 1. As for the distance to the lowest polymorph of the same formula: 3.8 kJ per mole of atoms. The value obtained for the formation energy from the elements is -1.844 eV/atom.


6.
Li7Mn2Co3O12 | PBE with a Hubbard U | optimized geometry

Cell: 3.016 7.646 9.772 Å, 91.99 95.95 98.16°
Element x y z (fractional)
Li (0.000, 0.000, 0.000)
Li (0.085, 0.417, 0.752)
Li (0.240, 0.251, 0.245)
Li (0.421, 0.084, 0.758)
Li (0.579, 0.916, 0.242)
Li (0.760, 0.749, 0.755)
Li (0.915, 0.583, 0.248)
Mn (0.160, 0.832, 0.497)
Mn (0.840, 0.168, 0.503)
Co (0.344, 0.677, 0.002)
Co (0.500, 0.500, 0.500)
Co (0.656, 0.323, 0.998)
O (0.029, 0.220, 0.885)
O (0.132, 0.624, 0.615)
O (0.182, 0.040, 0.382)
O (0.311, 0.468, 0.107)
O (0.364, 0.846, 0.885)
O (0.482, 0.289, 0.618)
O (0.518, 0.711, 0.382)
O (0.636, 0.154, 0.115)
O (0.689, 0.532, 0.893)
O (0.818, 0.960, 0.618)
O (0.868, 0.376, 0.385)
O (0.971, 0.780, 0.115)

Its density is 3.95 g/cm³. As for the total moment: 14.00 μB per formula unit. The space-group type is No. 2. As for the distance to the lowest polymorph of the same formula: 9.6 kJ per mole of atoms. The value obtained for the formation energy from the elements is -1.834 eV/atom.